No. 1
Compound: AgW6Br14
Source: the Materials Project database
Functional: PBE
Structure: optimized geometry

total magnetization: 0.0 Bohr magnetons per cell
V: 651.5 Å³/f.u.
energy of formation: -0.83 eV per atom

Cell: 13.7610 13.7610 13.7610 Å, 90.00 90.00 90.00°
Fractional coordinates of all 84 atoms:
1 W 0.7729 0.2808 0.3817
2 Br 0.3075 0.8279 0.9381
3 W 0.8817 0.7271 0.7808
4 Br 0.8247 0.3768 0.0667
5 Ag 0.2500 0.2500 0.2500
6 Br 0.0667 0.8247 0.3768
7 Br 0.9333 0.8247 0.6232
8 Br 0.6721 0.5619 0.1925
9 W 0.2808 0.6183 0.2271
10 Br 0.3768 0.0667 0.8247
11 Br 0.6126 0.3874 0.3874
12 Br 0.3247 0.1232 0.5667
13 W 0.7271 0.7808 0.8817
14 Br 0.5667 0.6753 0.8768
15 Br 0.8075 0.6721 0.4381
16 Ag 0.2500 0.7500 0.7500
17 W 0.3817 0.2271 0.7192
18 W 0.7192 0.3817 0.2271
19 Br 0.8768 0.5667 0.6753
20 W 0.2271 0.2808 0.6183
21 Br 0.6232 0.9333 0.8247
22 Ag 0.7500 0.7500 0.2500
23 W 0.8817 0.2729 0.2192
24 Br 0.3768 0.9333 0.1753
25 Br 0.6232 0.0667 0.1753
26 Br 0.1925 0.3279 0.4381
27 Br 0.4381 0.8075 0.6721
28 Br 0.1753 0.3768 0.9333
29 Br 0.5619 0.1925 0.6721
30 Br 0.1753 0.6232 0.0667
31 Br 0.4381 0.1925 0.3279
32 Br 0.6925 0.1721 0.9381
33 Br 0.3874 0.6126 0.3874
34 Br 0.3874 0.3874 0.6126
35 Br 0.6925 0.8279 0.0619
36 Br 0.1925 0.6721 0.5619
37 Br 0.1126 0.1126 0.8874
38 Br 0.3247 0.8768 0.4333
39 Br 0.4333 0.3247 0.8768
40 Br 0.3279 0.4381 0.1925
41 Br 0.5619 0.8075 0.3279
42 Br 0.5667 0.3247 0.1232
43 Br 0.9381 0.6925 0.1721
44 W 0.6183 0.7729 0.7192
45 Br 0.8768 0.4333 0.3247
46 Br 0.1232 0.4333 0.6753
47 Br 0.8874 0.1126 0.1126
48 W 0.3817 0.7729 0.2808
49 W 0.7729 0.7192 0.6183
50 Br 0.8279 0.9381 0.3075
51 W 0.7271 0.2192 0.1183
52 Br 0.3279 0.5619 0.8075
53 Br 0.1721 0.0619 0.3075
54 Br 0.9381 0.3075 0.8279
55 Br 0.4333 0.6753 0.1232
56 W 0.6183 0.2271 0.2808
57 W 0.2192 0.1183 0.7271
58 Br 0.1232 0.5667 0.3247
59 W 0.1183 0.7271 0.2192
60 W 0.2729 0.2192 0.8817
61 W 0.2729 0.7808 0.1183
62 Br 0.6753 0.8768 0.5667
63 W 0.2192 0.8817 0.2729
64 Br 0.0667 0.1753 0.6232
65 Br 0.6721 0.4381 0.8075
66 W 0.2808 0.3817 0.7729
67 Ag 0.7500 0.2500 0.7500
68 Br 0.8075 0.3279 0.5619
69 Br 0.9333 0.1753 0.3768
70 W 0.1183 0.2729 0.7808
71 W 0.7192 0.6183 0.7729
72 Br 0.3075 0.1721 0.0619
73 W 0.7808 0.8817 0.7271
74 Br 0.6753 0.1232 0.4333
75 Br 0.0619 0.3075 0.1721
76 W 0.2271 0.7192 0.3817
77 Br 0.1721 0.9381 0.6925
78 Br 0.6126 0.6126 0.6126
79 Br 0.8247 0.6232 0.9333
80 Br 0.0619 0.6925 0.8279
81 Br 0.1126 0.8874 0.1126
82 Br 0.8874 0.8874 0.8874
83 Br 0.8279 0.0619 0.6925
84 W 0.7808 0.1183 0.2729

=====

No. 2
Compound: Li2U2O5
Source: the Materials Project database
Functional: PBE
Structure: optimized geometry

total magnetization: 3.1 Bohr magnetons per cell
V: 141.0 Å³/f.u.
energy of formation: -2.88 eV per atom

Cell: 4.1030 4.1030 8.3745 Å, 90.00 90.00 90.00°
Fractional coordinates of all 9 atoms:
1 Li 0.0000 0.0000 0.0000
2 U 0.5000 0.5000 0.7575
3 O 0.0000 0.5000 0.1731
4 O 0.5000 0.0000 0.1731
5 O 0.5000 0.0000 0.8269
6 O 0.5000 0.5000 0.5000
7 Li 0.0000 0.0000 0.5000
8 U 0.5000 0.5000 0.2425
9 O 0.0000 0.5000 0.8269

=====

No. 3
Compound: BaAuO3
Source: the Materials Project database
Functional: PBE
Structure: optimized geometry

total magnetization: 0.0 Bohr magnetons per cell
V: 74.7 Å³/f.u.
energy of formation: -1.46 eV per atom

Cell: 4.2117 4.2117 4.2117 Å, 90.00 90.00 90.00°
Fractional coordinates of all 5 atoms:
1 O 0.5000 0.5000 0.0000
2 Ba 0.0000 0.0000 0.0000
3 O 0.5000 0.0000 0.5000
4 O 0.0000 0.5000 0.5000
5 Au 0.5000 0.5000 0.5000

=====

No. 4
Compound: SrH2O3
Source: the Materials Project database
Functional: PBE
Structure: optimized geometry

total magnetization: 4.0 Bohr magnetons per cell
V: 73.0 Å³/f.u.
energy of formation: -1.48 eV per atom

Cell: 3.7927 5.8513 6.5755 Å, 90.00 90.00 90.00°
Fractional coordinates of all 12 atoms:
1 O 0.0000 0.5638 0.0257
2 Sr 0.5000 0.3586 0.2460
3 O 0.0000 0.4362 0.5257
4 O 0.0000 0.0700 0.2637
5 O 0.5000 0.7841 0.3695
6 H 0.7117 0.1183 0.8294
7 O 0.5000 0.2159 0.8695
8 H 0.2883 0.8817 0.3294
9 H 0.2883 0.1183 0.8294
10 O 0.0000 0.9300 0.7637
11 H 0.7117 0.8817 0.3294
12 Sr 0.5000 0.6414 0.7460

=====

No. 5
Compound: MoW3Se2S6
Source: the Materials Project database
Functional: PBE
Structure: optimized geometry

total magnetization: 0.0 Bohr magnetons per cell
E above lowest polymorph: 0.0183 eV/atom
V: 324.1 Å³/f.u.
energy of formation: -1.00 eV per atom

Cell: 3.2229 3.2229 36.0330 Å, 90.00 90.00 120.00°
Fractional coordinates of all 12 atoms:
1 Se 0.3333 0.6667 0.4219
2 S 0.0000 0.0000 0.6143
3 S 0.0000 0.0000 0.2385
4 Mo 0.0000 0.0000 0.0939
5 W 0.3333 0.6667 0.2818
6 S 0.3333 0.6667 0.0508
7 S 0.3333 0.6667 0.1371
8 W 0.0000 0.0000 0.4697
9 Se 0.3333 0.6667 0.5174
10 S 0.0000 0.0000 0.3251
11 W 0.3333 0.6667 0.6576
12 S 0.0000 0.0000 0.7009

=====

No. 6
Compound: Zr5Ti7O24
Source: the Materials Project database
Functional: PBE
Structure: optimized geometry

total magnetization: 0.0 Bohr magnetons per cell
E above lowest polymorph: 0.0099 eV/atom
V: 413.5 Å³/f.u.
energy of formation: -3.59 eV per atom

Cell: 5.6511 4.8122 15.2106 Å, 88.43 90.00 90.00°
Fractional coordinates of all 36 atoms:
1 O 0.8881 0.2418 0.5507
2 Zr 0.8035 0.0111 0.6659
3 Ti 0.6861 0.4886 0.1669
4 O 0.6156 0.6815 0.2733
5 O 0.3834 0.2473 0.2264
6 Ti 0.1892 0.0116 0.8297
7 O 0.8940 0.2596 0.8878
8 O 0.3959 0.7110 0.4326
9 Ti 0.6714 0.5000 0.5000
10 O 0.8825 0.2127 0.2175
11 O 0.1108 0.7711 0.6160
12 Zr 0.8139 0.0000 0.0000
13 Ti 0.3226 0.4874 0.3298
14 Ti 0.3226 0.5126 0.6702
15 O 0.1226 0.7586 0.2770
16 O 0.3959 0.2890 0.5674
17 O 0.8940 0.7404 0.1122
18 Ti 0.6861 0.5114 0.8331
19 O 0.8881 0.7582 0.4493
20 O 0.5916 0.2605 0.4004
21 Zr 0.8035 0.9889 0.3341
22 O 0.1226 0.2414 0.7230
23 O 0.8825 0.7873 0.7825
24 Zr 0.2054 0.0000 0.5000
25 O 0.6091 0.2865 0.0618
26 O 0.1134 0.1998 0.0633
27 O 0.1108 0.2289 0.3840
28 Ti 0.1892 0.9884 0.1703
29 O 0.6156 0.3185 0.7267
30 O 0.5916 0.7395 0.5996
31 Zr 0.3105 0.5000 0.0000
32 O 0.3834 0.7527 0.7736
33 O 0.6091 0.7135 0.9382
34 O 0.3910 0.2608 0.8868
35 O 0.3910 0.7392 0.1132
36 O 0.1134 0.8002 0.9367

=====

No. 7
Compound: TiCl3
Source: the Materials Project database
Functional: PBE
Structure: optimized geometry

V: 106.2 Å³/f.u.
energy of formation: -2.04 eV per atom

Cell: 6.1220 6.1220 19.6351 Å, 90.00 90.00 120.00°
Fractional coordinates of all 24 atoms:
1 Cl 0.0875 0.8659 0.0721
2 Cl 0.8016 0.5788 0.9277
3 Cl 0.4444 0.5798 0.0712
4 Cl 0.0875 0.2216 0.9279
5 Cl 0.7772 0.5788 0.4056
6 Cl 0.7772 0.1984 0.5944
7 Cl 0.7784 0.8659 0.2612
8 Cl 0.1354 0.5556 0.7379
9 Ti 0.1089 0.2178 0.6667
10 Cl 0.4212 0.2228 0.2610
11 Cl 0.4212 0.1984 0.7390
12 Cl 0.7784 0.9125 0.7388
13 Cl 0.1341 0.9125 0.5946
14 Ti 0.7822 0.8911 0.0000
15 Cl 0.1341 0.2216 0.4054
16 Ti 0.1069 0.5534 0.0000
17 Cl 0.4202 0.5556 0.5954
18 Cl 0.1354 0.5798 0.2621
19 Ti 0.4466 0.5534 0.3333
20 Ti 0.1089 0.8911 0.3333
21 Cl 0.4202 0.8646 0.4046
22 Cl 0.4444 0.8646 0.9288
23 Ti 0.4466 0.8931 0.6667
24 Cl 0.8016 0.2228 0.0723

=====

No. 8
Compound: USi2Pd2
Source: the Materials Project database
Functional: PBE
Structure: optimized geometry

V: 85.5 Å³/f.u.
energy of formation: -0.63 eV per atom

Cell: 4.0615 4.0615 5.9264 Å, 110.04 110.04 90.00°
Fractional coordinates of all 5 atoms:
1 Pd 0.7500 0.2500 0.5000
2 U 0.0000 0.0000 0.0000
3 Pd 0.2500 0.7500 0.5000
4 Si 0.6112 0.6112 0.2225
5 Si 0.3888 0.3888 0.7775

=====

No. 9
Compound: CsAgCl2
Source: the Materials Project database
Functional: PBE
Structure: optimized geometry

E above lowest polymorph: 0.0094 eV/atom
V: 124.9 Å³/f.u.
energy of formation: -1.52 eV per atom

Cell: 4.4446 5.7659 9.9980 Å, 90.00 102.84 90.00°
Fractional coordinates of all 8 atoms:
1 Ag 0.7996 0.2500 0.5992
2 Cl 0.9309 0.2500 0.8619
3 Cs 0.4175 0.7500 0.8350
4 Cl 0.0691 0.7500 0.1381
5 Cs 0.5825 0.2500 0.1650
6 Cl 0.2239 0.2500 0.4478
7 Ag 0.2004 0.7500 0.4008
8 Cl 0.7761 0.7500 0.5522

=====

No. 10
Compound: Li14Mn2S9
Source: the Materials Project database
Functional: PBE
Structure: optimized geometry

V: 429.5 Å³/f.u.
energy of formation: -1.39 eV per atom

Cell: 7.0733 7.0733 9.9130 Å, 90.00 90.00 120.00°
Fractional coordinates of all 25 atoms:
1 Li 0.0246 0.6775 0.4102
2 Li 0.9586 0.6353 0.9107
3 Li 0.3471 0.0246 0.5898
4 Mn 0.6667 0.3333 0.2445
5 Li 0.0000 0.0000 0.2480
6 Li 0.6529 0.9754 0.4102
7 Li 0.3647 0.3232 0.9107
8 Li 0.3232 0.9586 0.0893
9 S 0.9716 0.6612 0.1615
10 S 0.6612 0.6896 0.8385
11 S 0.6667 0.3333 0.4849
12 Li 0.0414 0.3647 0.0893
13 S 0.0000 0.0000 0.5000
14 S 0.3104 0.9716 0.8385
15 Li 0.0000 0.0000 0.7520
16 S 0.3333 0.6667 0.5151
17 S 0.3388 0.3104 0.1615
18 Mn 0.3333 0.6667 0.7555
19 Li 0.6768 0.0414 0.9107
20 Li 0.6353 0.6768 0.0893
21 Li 0.6775 0.6529 0.5898
22 Li 0.3225 0.3471 0.4102
23 S 0.0284 0.3388 0.8385
24 Li 0.9754 0.3225 0.5898
25 S 0.6896 0.0284 0.1615

=====

No. 11
Compound: U8Bi2O19
Source: the Materials Project database
Functional: PBE
Structure: optimized geometry

total magnetization: 14.6 Bohr magnetons per cell
V: 404.1 Å³/f.u.
energy of formation: -3.37 eV per atom

Cell: 3.8350 3.8347 27.4763 Å, 89.98 89.94 90.00°
Fractional coordinates of all 29 atoms:
1 O 0.5001 0.9980 0.3500
2 O 0.9993 0.4973 0.3499
3 O 0.0006 0.4986 0.4499
4 O 0.5029 0.9967 0.0568
5 O 0.4929 0.9987 0.8425
6 U 0.0002 0.9981 0.3998
7 U 0.5013 0.5039 0.6992
8 U 0.9973 0.0016 0.7994
9 O 0.5007 0.9990 0.4498
10 U 0.4990 0.4989 0.3000
11 O 0.0012 0.5002 0.1525
12 O 0.9985 0.5003 0.2506
13 O 0.5013 0.0040 0.7469
14 O 0.5013 0.0001 0.1526
15 O 0.9926 0.4998 0.8426
16 O 0.0007 0.5043 0.6493
17 O 0.4985 0.9999 0.2507
18 U 0.9996 0.0003 0.2004
19 U 0.4994 0.5006 0.4998
20 O 0.0014 0.5037 0.7475
21 O 0.4985 0.0020 0.5497
22 Bi 0.0041 0.9964 0.9983
23 O 0.5004 0.0043 0.6489
24 O 0.9984 0.5028 0.5499
25 U 0.5021 0.4987 0.1003
26 Bi 0.4910 0.4983 0.9011
27 U 0.9995 0.0031 0.5996
28 O 0.5040 0.9977 0.9494
29 O 0.0034 0.4964 0.0578

=====

No. 12
Compound: Na2O
Source: the Materials Project database
Functional: PBE
Structure: optimized geometry

V: 50.9 Å³/f.u.
energy of formation: -1.40 eV per atom

Cell: 3.6888 5.1116 5.4035 Å, 90.00 90.00 90.00°
Fractional coordinates of all 6 atoms:
1 Na 0.0000 0.3250 0.2963
2 O 0.5000 0.5000 0.5000
3 Na 0.5000 0.8250 0.2037
4 O 0.0000 0.0000 0.0000
5 Na 0.5000 0.1750 0.7963
6 Na 0.0000 0.6750 0.7037

=====

> The lowest energy of formation belongs to which entry?

Zr5Ti7O24